<A>
Li9Mn7O16 | PBE+U | relaxed

Properties
The crystal system is triclinic.

a = 5.758 Å, b = 9.908 Å, c = 6.072 Å
α = 86.07°, β = 61.70°, γ = 98.35°
Sites, in units of the cell vectors:
Li: 0.743 0.240 0.134
Li: 0.745 0.750 0.372
Li: 0.743 0.250 0.628
Li: 0.255 0.250 0.628
Li: 0.257 0.760 0.866
Li: 0.251 0.243 0.120
Li: 0.749 0.757 0.880
Li: 0.257 0.750 0.372
Li: 0.500 0.000 0.500
Mn: 0.000 0.000 0.000
Mn: 0.000 0.000 0.500
Mn: 0.000 0.498 0.250
Mn: 0.000 0.502 0.750
Mn: 0.501 0.503 0.751
Mn: 0.500 0.000 0.000
Mn: 0.499 0.497 0.249
O: 0.860 0.118 0.840
O: 0.859 0.616 0.089
O: 0.894 0.103 0.286
O: 0.371 0.103 0.286
O: 0.362 0.622 0.586
O: 0.363 0.114 0.831
O: 0.863 0.621 0.585
O: 0.360 0.616 0.089
O: 0.638 0.378 0.414
O: 0.629 0.897 0.714
O: 0.640 0.384 0.911
O: 0.141 0.384 0.911
O: 0.140 0.882 0.160
O: 0.137 0.379 0.415
O: 0.637 0.886 0.169
O: 0.106 0.897 0.714



<B>
Li9Mn7O16 | PBE+U | relaxed

Properties
The crystal system is triclinic.

a = 5.094 Å, b = 6.060 Å, c = 10.430 Å
α = 76.19°, β = 75.90°, γ = 76.13°
Sites, in units of the cell vectors:
Li: 0.498 0.813 0.122
Li: 0.512 0.315 0.121
Li: 0.506 0.435 0.374
Li: 0.499 0.938 0.375
Li: 0.501 0.062 0.625
Li: 0.494 0.565 0.626
Li: 0.488 0.685 0.879
Li: 0.502 0.187 0.878
Li: 0.000 0.500 0.000
Mn: 0.000 0.000 0.000
Mn: 0.997 0.627 0.246
Mn: 0.995 0.137 0.246
Mn: 0.002 0.249 0.500
Mn: 0.998 0.751 0.500
Mn: 0.005 0.863 0.754
Mn: 0.003 0.373 0.754
O: 0.226 0.144 0.069
O: 0.216 0.690 0.064
O: 0.220 0.785 0.316
O: 0.235 0.269 0.317
O: 0.233 0.392 0.568
O: 0.230 0.893 0.570
O: 0.235 0.013 0.822
O: 0.229 0.536 0.806
O: 0.771 0.464 0.194
O: 0.765 0.987 0.178
O: 0.770 0.107 0.430
O: 0.767 0.608 0.432
O: 0.765 0.731 0.683
O: 0.780 0.215 0.684
O: 0.784 0.310 0.936
O: 0.774 0.856 0.931



<C>
Li9Mn7O16 | PBE+U | relaxed

Properties
The crystal system is triclinic.

a = 3.018 Å, b = 5.104 Å, c = 19.976 Å
α = 91.83°, β = 91.47°, γ = 102.77°
Sites, in units of the cell vectors:
Li: 0.958 0.202 0.688
Li: 0.561 0.311 0.812
Li: 0.188 0.438 0.937
Li: 0.812 0.562 0.063
Li: 0.439 0.689 0.188
Li: 0.042 0.798 0.312
Li: 0.727 0.949 0.446
Li: 0.273 0.051 0.554
Li: 0.000 0.500 0.500
Mn: 0.618 0.625 0.620
Mn: 0.382 0.375 0.380
Mn: 0.234 0.743 0.749
Mn: 0.872 0.874 0.874
Mn: 0.500 0.000 0.000
Mn: 0.128 0.126 0.126
Mn: 0.766 0.257 0.251
O: 0.228 0.867 0.656
O: 0.924 0.015 0.783
O: 0.558 0.143 0.909
O: 0.183 0.268 0.035
O: 0.809 0.394 0.160
O: 0.436 0.518 0.285
O: 0.976 0.611 0.402
O: 0.666 0.784 0.539
O: 0.564 0.482 0.715
O: 0.191 0.606 0.840
O: 0.817 0.732 0.965
O: 0.442 0.857 0.091
O: 0.076 0.985 0.217
O: 0.772 0.133 0.344
O: 0.334 0.216 0.461
O: 0.024 0.389 0.598



Q: What are the energies relative to the best structure? A: <A> 0; <B> 8; <C> 14, in meV/atom.



<A>
Li9Mn7O16 | PBE+U | relaxed

Properties
The crystal system is triclinic.

a = 5.097 Å, b = 6.481 Å, c = 9.388 Å
α = 97.79°, β = 99.53°, γ = 96.66°
Sites, in units of the cell vectors:
Li: 0.745 0.935 0.060
Li: 0.735 0.438 0.582
Li: 0.266 0.805 0.175
Li: 0.253 0.310 0.690
Li: 0.747 0.690 0.310
Li: 0.734 0.195 0.825
Li: 0.255 0.065 0.940
Li: 0.265 0.562 0.418
Li: 0.500 0.500 0.000
Mn: 0.998 0.626 0.886
Mn: 0.002 0.374 0.114
Mn: 0.008 0.126 0.371
Mn: 0.500 0.000 0.500
Mn: 0.992 0.874 0.629
Mn: 0.509 0.253 0.235
Mn: 0.491 0.747 0.765
O: 0.856 0.884 0.847
O: 0.888 0.393 0.314
O: 0.344 0.772 0.967
O: 0.364 0.266 0.471
O: 0.896 0.641 0.076
O: 0.862 0.140 0.592
O: 0.354 0.011 0.721
O: 0.368 0.512 0.216
O: 0.646 0.989 0.279
O: 0.632 0.488 0.784
O: 0.138 0.860 0.408
O: 0.104 0.359 0.924
O: 0.636 0.734 0.529
O: 0.656 0.228 0.033
O: 0.144 0.116 0.153
O: 0.112 0.607 0.686



<B>
Li9Mn7O16 | PBE+U | relaxed

Properties
The crystal system is monoclinic.

a = 6.512 Å, b = 6.512 Å, c = 8.837 Å
α = 89.47°, β = 89.47°, γ = 52.44°
Sites, in units of the cell vectors:
Li: 0.622 0.130 0.242
Li: 0.378 0.870 0.758
Li: 0.130 0.622 0.242
Li: 0.500 0.500 0.500
Li: 0.253 0.253 0.001
Li: 0.000 0.000 0.500
Li: 0.870 0.378 0.758
Li: 0.747 0.747 0.999
Li: 0.500 0.500 0.000
Mn: 0.000 0.000 0.000
Mn: 0.625 0.128 0.760
Mn: 0.750 0.750 0.500
Mn: 0.250 0.250 0.500
Mn: 0.375 0.872 0.240
Mn: 0.128 0.625 0.760
Mn: 0.872 0.375 0.240
O: 0.644 0.120 0.988
O: 0.386 0.886 0.495
O: 0.120 0.644 0.988
O: 0.512 0.512 0.255
O: 0.261 0.261 0.753
O: 0.009 0.009 0.257
O: 0.886 0.386 0.495
O: 0.762 0.762 0.751
O: 0.614 0.114 0.505
O: 0.356 0.880 0.012
O: 0.114 0.614 0.505
O: 0.488 0.488 0.745
O: 0.238 0.238 0.249
O: 0.991 0.991 0.743
O: 0.880 0.356 0.012
O: 0.739 0.739 0.247



Q: What are the energies relative to the best structure? A: <A> 0; <B> 26, in meV/atom.